Na3LaNbSi2PO12: optimized geometry, PBE-GGA.

* magnetic moment: 0.000 μB per formula unit
* total energy: -7.25 eV per atom
* formation energy from the elements: -2934.1 meV/atom

Lattice parameters (Å, degrees): 9.4586 9.4586 22.5540 91.12 88.88 120.02
Positions (direct):
Na1 0.9878 0.9868 0.5001
Na2 0.0132 0.0122 0.0001
Na3 0.6545 0.3202 0.8334
Na4 0.6798 0.3455 0.3334
Na5 0.3211 0.6535 0.1667
Na6 0.3465 0.6789 0.6667
Na7 0.6672 0.0144 0.2484
Na8 0.9776 0.6301 0.2437
Na9 0.9856 0.3328 0.7484
Na10 0.3699 0.0224 0.7437
Na11 0.3339 0.3478 0.5817
Na12 0.6442 0.9634 0.5770
Na13 0.6522 0.6661 0.0817
Na14 0.0366 0.3558 0.0770
Na15 0.0006 0.6811 0.9151
Na16 0.3109 0.2968 0.9103
Na17 0.3189 0.9994 0.4151
Na18 0.7032 0.6891 0.4103
La1 0.0035 0.0174 0.3482
La2 0.9826 0.9965 0.8482
La3 0.6701 0.3507 0.6815
La4 0.6493 0.3299 0.1815
La5 0.3368 0.6840 0.0149
La6 0.3160 0.6632 0.5149
Nb1 0.9958 0.9878 0.6493
Nb2 0.0122 0.0042 0.1493
Nb3 0.6624 0.3211 0.9826
Nb4 0.6789 0.3376 0.4826
Nb5 0.3291 0.6544 0.3159
Nb6 0.3456 0.6709 0.8159
Si1 0.6906 0.7111 0.2527
Si2 0.0120 0.3097 0.2477
Si3 0.2889 0.3094 0.7527
Si4 0.6903 0.9880 0.7477
Si5 0.3573 0.0444 0.5860
Si6 0.6786 0.6431 0.5810
Si7 0.9556 0.6427 0.0860
Si8 0.3569 0.3214 0.0810
Si9 0.0239 0.3778 0.9193
Si10 0.3453 0.9764 0.9143
Si11 0.6222 0.9761 0.4193
Si12 0.0236 0.6547 0.4143
P1 0.2870 0.9660 0.2518
P2 0.0340 0.7130 0.7518
P3 0.9536 0.2993 0.5851
P4 0.7007 0.0464 0.0851
P5 0.6203 0.6326 0.9185
P6 0.3674 0.3797 0.4185
O1 0.2290 0.9872 0.3128
O2 0.7791 0.7897 0.3140
O3 0.9534 0.1922 0.3034
O4 0.2103 0.2209 0.8140
O5 0.0128 0.7710 0.8128
O6 0.8078 0.0466 0.8034
O7 0.8006 0.9668 0.6902
O8 0.1526 0.1873 0.6974
O9 0.0286 0.8327 0.7024
O10 0.8127 0.8474 0.1974
O11 0.0332 0.1994 0.1902
O12 0.1673 0.9714 0.2024
O13 0.8957 0.3205 0.6461
O14 0.4458 0.1231 0.6473
O15 0.6200 0.5255 0.6368
O16 0.8769 0.5542 0.1473
O17 0.6795 0.1043 0.1461
O18 0.4745 0.3800 0.1368
O19 0.4673 0.3001 0.0235
O20 0.8193 0.5207 0.0308
O21 0.6953 0.1660 0.0357
O22 0.4793 0.1807 0.5308
O23 0.6999 0.5327 0.5235
O24 0.8340 0.3047 0.5357
O25 0.5624 0.6538 0.9795
O26 0.1124 0.4564 0.9806
O27 0.2867 0.8588 0.9701
O28 0.5436 0.8876 0.4806
O29 0.3462 0.4376 0.4795
O30 0.1412 0.7133 0.4701
O31 0.1339 0.6334 0.3568
O32 0.4859 0.8540 0.3641
O33 0.3619 0.4993 0.3691
O34 0.1460 0.5141 0.8641
O35 0.3666 0.8661 0.8568
O36 0.5007 0.6381 0.8691
O37 0.9774 0.7956 0.4066
O38 0.8017 0.9970 0.4149
O39 0.2373 0.2008 0.4089
O40 0.0030 0.1983 0.9149
O41 0.2044 0.0226 0.9066
O42 0.7992 0.7627 0.9089
O43 0.9359 0.1257 0.5802
O44 0.1801 0.0469 0.5872
O45 0.8599 0.8119 0.5902
O46 0.9531 0.8199 0.0872
O47 0.8743 0.0641 0.0802
O48 0.1881 0.1401 0.0902
O49 0.6441 0.1290 0.7400
O50 0.4684 0.3303 0.7482
O51 0.9040 0.5341 0.7422
O52 0.6697 0.5316 0.2482
O53 0.8710 0.3559 0.2400
O54 0.4659 0.0960 0.2422
O55 0.6026 0.4590 0.9136
O56 0.8468 0.3802 0.9205
O57 0.5266 0.1453 0.9236
O58 0.6198 0.1532 0.4205
O59 0.5410 0.3974 0.4136
O60 0.8547 0.4734 0.4236
O61 0.3107 0.4623 0.0733
O62 0.1351 0.6637 0.0816
O63 0.5706 0.8675 0.0755
O64 0.3363 0.8649 0.5816
O65 0.5377 0.6893 0.5733
O66 0.1325 0.4294 0.5755
O67 0.2692 0.7923 0.2469
O68 0.5134 0.7135 0.2539
O69 0.1933 0.4786 0.2569
O70 0.2865 0.4866 0.7539
O71 0.2077 0.7308 0.7469
O72 0.5214 0.8067 0.7569